The following is a r²SCAN calculation of a relaxed Ba2Mo6S9 crystal, from the Materials Project.

a b c (Å): 10.7541 10.7541 14.4008
angles (deg): 90.00 90.00 120.00
Last column: nearest neighbours and their distance in Å.
Fractional coordinates of all 68 atoms:
Ba 0.1876 0.8124 0.7452  7 S 3.12-3.47
Ba 0.1876 0.3752 0.7452  7 S 3.12-3.47
Ba 0.0000 0.0000 0.4452  9 S 3.43-3.74
Ba 0.0000 0.0000 0.9453  9 S 3.43-3.74
Ba 0.6248 0.8124 0.7452  7 S 3.12-3.47
Ba 0.3752 0.1876 0.2452  7 S 3.12-3.47
Ba 0.8124 0.6248 0.2452  7 S 3.12-3.47
Ba 0.8124 0.1876 0.2452  7 S 3.12-3.47
Mo 0.2433 0.7567 0.3613  5 S 2.32-2.51
Mo 0.2430 0.7570 0.1392  5 S 2.32-2.58
Mo 0.1672 0.5836 0.5096  5 S 2.42-2.57, 4 Mo 2.68
Mo 0.1675 0.5837 0.9903  5 S 2.43-2.57, 4 Mo 2.68-2.69
Mo 0.2430 0.4861 0.1392  5 S 2.32-2.58
Mo 0.4164 0.8328 0.5096  5 S 2.42-2.57, 4 Mo 2.68
Mo 0.4163 0.8325 0.9903  5 S 2.43-2.57, 4 Mo 2.68-2.69
Mo 0.2433 0.4866 0.3613  5 S 2.32-2.51
Mo 0.4163 0.5838 0.9903  5 S 2.43-2.57, 4 Mo 2.68-2.69
Mo 0.4164 0.5836 0.5096  5 S 2.42-2.57, 4 Mo 2.68
Mo 0.5139 0.7570 0.1392  5 S 2.32-2.58
Mo 0.5134 0.7567 0.3613  5 S 2.32-2.51
Mo 0.4861 0.2430 0.6392  5 S 2.32-2.58
Mo 0.4866 0.2433 0.8613  5 S 2.32-2.51
Mo 0.5836 0.4164 0.0096  5 S 2.42-2.57, 4 Mo 2.68
Mo 0.5837 0.4163 0.4903  5 S 2.43-2.57, 4 Mo 2.68-2.69
Mo 0.5837 0.1675 0.4903  5 S 2.43-2.57, 4 Mo 2.68-2.69
Mo 0.7567 0.5134 0.8613  5 S 2.32-2.51
Mo 0.5836 0.1671 0.0096  5 S 2.42-2.57, 4 Mo 2.68
Mo 0.7570 0.5139 0.6392  5 S 2.32-2.58
Mo 0.8329 0.4164 0.0096  5 S 2.42-2.57, 4 Mo 2.68
Mo 0.8325 0.4163 0.4903  5 S 2.43-2.57, 4 Mo 2.68-2.69
Mo 0.7570 0.2430 0.6392  5 S 2.32-2.59
Mo 0.7567 0.2433 0.8613  5 S 2.32-2.51
S 0.1369 0.8631 0.2548  2 Mo 2.51-2.58
S 0.1809 0.8191 0.5106  3 Mo 2.44-2.46
S 0.1812 0.8188 0.9889  3 Mo 2.45-2.46
S 0.0279 0.5139 0.1356  4 Mo 2.46-2.57
S 0.0275 0.5137 0.3645  4 Mo 2.46-2.57
S 0.3333 0.6667 0.2501  6 Mo 2.32
S 0.4861 0.9721 0.1356  4 Mo 2.46-2.57
S 0.4863 0.9725 0.3645  4 Mo 2.46-2.57
S 0.3333 0.6667 0.6390  3 Mo 2.42
S 0.3333 0.6667 0.8603  3 Mo 2.43
S 0.1812 0.3623 0.9889  3 Mo 2.45-2.46
S 0.1369 0.2737 0.2548  2 Mo 2.51-2.58
S 0.1809 0.3618 0.5106  3 Mo 2.44-2.46
S 0.2738 0.1369 0.7549  2 Mo 2.51-2.58
S 0.4861 0.5139 0.1356  4 Mo 2.46-2.57
S 0.4863 0.5137 0.3645  4 Mo 2.46-2.57
S 0.6377 0.8188 0.9889  3 Mo 2.45-2.46
S 0.6382 0.8191 0.5106  3 Mo 2.44-2.46
S 0.3623 0.1812 0.4889  3 Mo 2.45-2.46
S 0.3618 0.1809 0.0107  3 Mo 2.44-2.46
S 0.5137 0.4863 0.8645  4 Mo 2.46-2.57
S 0.5139 0.4861 0.6356  4 Mo 2.46-2.57
S 0.7262 0.8631 0.2548  2 Mo 2.51-2.58
S 0.6667 0.3333 0.1390  3 Mo 2.42
S 0.5139 0.0279 0.6356  4 Mo 2.46-2.57
S 0.8191 0.6382 0.0107  3 Mo 2.44-2.46
S 0.6667 0.3333 0.3603  3 Mo 2.43
S 0.8631 0.7262 0.7549  2 Mo 2.51-2.58
S 0.6667 0.3333 0.7501  6 Mo 2.32
S 0.8188 0.6377 0.4889  3 Mo 2.45-2.46
S 0.5137 0.0275 0.8645  4 Mo 2.46-2.57
S 0.9725 0.4863 0.8645  4 Mo 2.46-2.57
S 0.9721 0.4861 0.6356  4 Mo 2.46-2.57
S 0.8191 0.1809 0.0107  3 Mo 2.44-2.46
S 0.8188 0.1812 0.4889  3 Mo 2.45-2.46
S 0.8631 0.1369 0.7549  2 Mo 2.51-2.59

calculated formation energy	-20.417	eV/f.u.

The following is a r²SCAN calculation of a relaxed Ba3N crystal, from the Materials Project.

a b c (Å): 7.7956 7.7956 7.1110
angles (deg): 90.00 90.00 120.00
Last column: nearest neighbours and their distance in Å.
Fractional coordinates of all 8 atoms:
Ba 0.0000 0.7307 0.7500  2 N 2.75
Ba 0.0000 0.2693 0.2500  2 N 2.75
Ba 0.7307 0.7307 0.2500  2 N 2.75
Ba 0.7307 0.0000 0.7500  2 N 2.75
Ba 0.2693 0.2693 0.7500  2 N 2.75
Ba 0.2693 0.0000 0.2500  2 N 2.75
N 0.0000 0.0000 0.5000  6 Ba 2.75
N 0.0000 0.0000 0.0000  6 Ba 2.75

calculated formation energy	-1.449	eV/f.u.

The following is a r²SCAN calculation of a relaxed Ba3P6N8O6 crystal, from the Materials Project.

a b c (Å): 7.4122 7.4122 6.3648
angles (deg): 90.00 90.00 120.00
Last column: nearest neighbours and their distance in Å.
Fractional coordinates of all 23 atoms:
Ba 0.3333 0.6667 0.6145  6 O 2.80-2.96, 4 N 2.91-3.04
Ba 0.6667 0.3333 0.3855  6 O 2.80-2.96, 4 N 2.91-3.04
Ba 0.0000 0.0000 0.5000  6 O 2.75
P 0.5995 0.7759 0.1018  1 O 1.53, 2 N 1.60-1.61
P 0.1764 0.4005 0.1018  1 O 1.53, 2 N 1.60-1.61
P 0.2241 0.8236 0.1018  1 O 1.53, 2 N 1.60-1.61
P 0.4005 0.2241 0.8982  1 O 1.53, 2 N 1.60-1.61
P 0.8236 0.5995 0.8982  1 O 1.53, 2 N 1.60-1.61
P 0.7759 0.1764 0.8982  1 O 1.53, 2 N 1.60-1.61
N 0.3333 0.6667 0.0719  3 P 1.73
N 0.6667 0.3333 0.9281  3 P 1.73
N 0.6719 0.6941 0.9034  2 P 1.60-1.61
N 0.0222 0.3281 0.9034  2 P 1.60-1.61
N 0.3059 0.9778 0.9034  2 P 1.60-1.61
N 0.3281 0.3059 0.0966  2 P 1.60-1.61
N 0.9778 0.6719 0.0966  2 P 1.60-1.61
N 0.6941 0.0222 0.0966  2 P 1.60-1.61
O 0.6317 0.7093 0.3190  1 P 1.53
O 0.0776 0.3683 0.3190  1 P 1.53
O 0.2907 0.9224 0.3190  1 P 1.53
O 0.3683 0.2907 0.6810  1 P 1.53
O 0.9224 0.6317 0.6810  1 P 1.53
O 0.7093 0.0776 0.6810  1 P 1.53

calculated formation energy	-41.868	eV/f.u.

The following is a r²SCAN calculation of a relaxed Ba3OsN3 crystal, from the Materials Project.

a b c (Å): 8.2278 8.2252 5.6698
angles (deg): 90.00 90.00 120.00
Last column: nearest neighbours and their distance in Å.
Fractional coordinates of all 14 atoms:
Ba 0.9009 0.6389 0.2500  5 N 2.88-3.01
Ba 0.7374 0.0999 0.2500  5 N 2.88-3.01
Ba 0.3620 0.2625 0.2500  5 N 2.88-3.01
Ba 0.0991 0.3611 0.7500  5 N 2.88-3.01
Ba 0.2626 0.9001 0.7500  5 N 2.88-3.01
Ba 0.6380 0.7375 0.7500  5 N 2.88-3.01
Os 0.6665 0.3330 0.7500  3 N 1.85
Os 0.3335 0.6670 0.2500  3 N 1.85
N 0.8819 0.5668 0.7500  1 Os 1.85
N 0.6847 0.1175 0.7500  1 Os 1.85
N 0.4327 0.3146 0.7500  1 Os 1.85
N 0.1181 0.4332 0.2500  1 Os 1.85
N 0.3153 0.8825 0.2500  1 Os 1.85
N 0.5673 0.6854 0.2500  1 Os 1.85

calculated formation energy	-4.492	eV/f.u.

The following is a r²SCAN calculation of a relaxed BaReN3 crystal, from the Materials Project.

a b c (Å): 7.9897 7.9897 6.1439
angles (deg): 81.54 81.54 91.20
Last column: nearest neighbours and their distance in Å.
Fractional coordinates of all 20 atoms:
Ba 0.3285 0.6715 0.2500  8 N 2.83-3.08
Ba 0.1001 0.8999 0.7500  6 N 2.70-2.84
Ba 0.6715 0.3285 0.7500  8 N 2.83-3.08
Ba 0.8999 0.1001 0.2500  6 N 2.70-2.84
Re 0.2042 0.3696 0.7601  4 N 1.74-1.92
Re 0.6304 0.7958 0.7399  4 N 1.74-1.92
Re 0.3696 0.2042 0.2601  4 N 1.74-1.92
Re 0.7958 0.6304 0.2399  4 N 1.74-1.92
N 0.7652 0.9796 0.6818  1 Re 1.76
N 0.6423 0.6804 0.4863  2 Re 1.90-1.92
N 0.3577 0.3196 0.5137  2 Re 1.90-1.92
N 0.9796 0.7652 0.1818  1 Re 1.76
N 0.8537 0.4235 0.3168  1 Re 1.74
N 0.2348 0.0204 0.3182  1 Re 1.76
N 0.1463 0.5765 0.6832  1 Re 1.74
N 0.4235 0.8537 0.8168  1 Re 1.74
N 0.5765 0.1463 0.1832  1 Re 1.74
N 0.6804 0.6423 0.9863  2 Re 1.90-1.92
N 0.3196 0.3577 0.0137  2 Re 1.90-1.92
N 0.0204 0.2348 0.8182  1 Re 1.76

calculated formation energy	-3.119	eV/f.u.

The following is a r²SCAN calculation of a relaxed Ba2ReN3 crystal, from the Materials Project.

a b c (Å): 6.6323 11.8373 13.3608
angles (deg): 90.00 90.00 153.17
Last column: nearest neighbours and their distance in Å.
Fractional coordinates of all 24 atoms:
Ba 0.5000 0.0653 0.8664  4 N 2.75-3.01
Ba 0.4998 0.5652 0.6338  4 N 2.75-3.01
Ba 0.5000 0.9347 0.1337  4 N 2.75-3.01
Ba 0.5002 0.4348 0.3662  4 N 2.75-3.01
Ba 0.5000 0.8600 0.5823  7 N 2.79-3.03
Ba 0.5002 0.3601 0.9177  7 N 2.79-3.03
Ba 0.5000 0.1401 0.4176  7 N 2.79-3.03
Ba 0.4998 0.6399 0.0823  7 N 2.79-3.03
Re 0.5001 0.2396 0.6634  4 N 1.84-1.92
Re 0.5002 0.7397 0.8367  4 N 1.84-1.92
Re 0.4999 0.7604 0.3366  4 N 1.84-1.92
Re 0.4998 0.2603 0.1633  4 N 1.84-1.92
N 0.0002 0.5147 0.7500  2 Re 1.92
N 0.9998 0.4853 0.2500  2 Re 1.92
N 0.4996 0.0903 0.6244  1 Re 1.84
N 0.5002 0.5906 0.8758  1 Re 1.84
N 0.5004 0.9097 0.3756  1 Re 1.84
N 0.4998 0.4094 0.1243  1 Re 1.84
N 0.5002 0.1624 0.0533  1 Re 1.87
N 0.5000 0.6623 0.4466  1 Re 1.87
N 0.4998 0.8376 0.9467  1 Re 1.87
N 0.5000 0.3377 0.5534  1 Re 1.87
N 0.0001 0.0148 0.7501  2 Re 1.92
N 0.9999 0.9852 0.2499  2 Re 1.92

calculated formation energy	-4.562	eV/f.u.